[1]
# MnV2Os r2SCAN relaxed
data_MnV2Os
_cell_length_a 5.884
_cell_length_b 5.884
_cell_length_c 5.884
_cell_angle_alpha 90.00
_cell_angle_beta 90.00
_cell_angle_gamma 90.00
_symmetry_space_group_name_H-M 'F m -3 m'
_symmetry_Int_Tables_number 225
_symmetry_space_group_name_Hall '-F 4 2 3'
loop_
_atom_site_label
_atom_site_fract_x
_atom_site_fract_y
_atom_site_fract_z
_atom_site_occupancy
Mn1 0.000 0.000 0.000 1
V1 0.250 0.250 0.250 1
Os1 0.000 0.000 0.500 1
# Energy of formation from the pure elements in eV per atom: -0.28

---

[2]
# Mn2P r2SCAN relaxed
data_Mn2P
_cell_length_a 3.413
_cell_length_b 10.662
_cell_length_c 6.175
_cell_angle_alpha 90.00
_cell_angle_beta 90.00
_cell_angle_gamma 90.00
_symmetry_space_group_name_H-M 'A m m 2'
_symmetry_Int_Tables_number 38
_symmetry_space_group_name_Hall 'A 2 -2'
loop_
_atom_site_label
_atom_site_fract_x
_atom_site_fract_y
_atom_site_fract_z
_atom_site_occupancy
Mn1 0.000 0.000 0.000 1
Mn2 0.000 0.126 0.608 1
Mn3 0.500 0.000 0.340 1
Mn4 0.500 0.210 0.929 1
P1 0.000 0.168 0.233 1
P2 0.500 0.000 0.750 1
# Energy of formation from the pure elements in eV per atom: -0.62

---

[3]
# MnP r2SCAN relaxed
data_MnP
_cell_length_a 5.155
_cell_length_b 3.218
_cell_length_c 5.796
_cell_angle_alpha 90.00
_cell_angle_beta 90.00
_cell_angle_gamma 90.00
_symmetry_space_group_name_H-M 'P n m a'
_symmetry_Int_Tables_number 62
_symmetry_space_group_name_Hall '-P 2ac 2n'
loop_
_atom_site_label
_atom_site_fract_x
_atom_site_fract_y
_atom_site_fract_z
_atom_site_occupancy
Mn1 0.003 0.250 0.195 1
P1 0.187 0.250 0.573 1
# Energy of formation from the pure elements in eV per atom: -0.59

---

[4]
# RbMnP r2SCAN relaxed
data_RbMnP
_cell_length_a 4.274
_cell_length_b 4.274
_cell_length_c 11.401
_cell_angle_alpha 90.00
_cell_angle_beta 90.00
_cell_angle_gamma 90.00
_symmetry_space_group_name_H-M 'P 4/n m m'
_symmetry_Int_Tables_number 129
loop_
_symmetry_equiv_pos_as_xyz
'x,y,z'
'-x,-y,-z'
'-y+1/2,x,z'
'y+1/2,-x,-z'
'-x+1/2,-y+1/2,z'
'x+1/2,y+1/2,-z'
'y,-x+1/2,z'
'-y,x+1/2,-z'
'x+1/2,-y,-z'
'-x+1/2,y,z'
'-y,-x,-z'
'y,x,z'
'-x,y+1/2,-z'
'x,-y+1/2,z'
'y+1/2,x+1/2,-z'
'-y+1/2,-x+1/2,z'
loop_
_atom_site_label
_atom_site_fract_x
_atom_site_fract_y
_atom_site_fract_z
_atom_site_occupancy
Rb1 0.250 0.250 0.226 1
Mn1 0.250 0.750 0.500 1
P1 0.250 0.250 0.618 1
# Energy of formation from the pure elements in eV per atom: -0.55

---

[5]
# MnPSe3 r2SCAN relaxed
data_MnPSe3
_cell_length_a 6.3996
_cell_length_b 6.3996
_cell_length_c 20.7165
_cell_angle_alpha 90.00
_cell_angle_beta 90.00
_cell_angle_gamma 120.00
_symmetry_space_group_name_H-M 'R -3'
_symmetry_Int_Tables_number 148
_symmetry_space_group_name_Hall '-R 3'
loop_
_atom_site_label
_atom_site_fract_x
_atom_site_fract_y
_atom_site_fract_z
_atom_site_occupancy
Mn1 0.0000 0.0000 0.1676 1
P1 0.0000 0.0000 0.4464 1
Se1 0.0018 0.6640 0.2488 1
# Energy of formation from the pure elements in eV per atom: -0.53

---

[6]
# TaMnP r2SCAN relaxed
data_TaMnP
_cell_length_a 6.192
_cell_length_b 3.490
_cell_length_c 7.372
_cell_angle_alpha 90.00
_cell_angle_beta 90.00
_cell_angle_gamma 90.00
_symmetry_space_group_name_H-M 'P n m a'
_symmetry_Int_Tables_number 62
_symmetry_space_group_name_Hall '-P 2ac 2n'
loop_
_atom_site_label
_atom_site_fract_x
_atom_site_fract_y
_atom_site_fract_z
_atom_site_occupancy
Ta1 0.033 0.250 0.166 1
Mn1 0.140 0.250 0.562 1
P1 0.232 0.750 0.367 1
# Energy of formation from the pure elements in eV per atom: -0.80

---

[7]
# U2Mn12P7 r2SCAN relaxed
data_U2Mn12P7
_cell_length_a 9.669
_cell_length_b 3.605
_cell_length_c 9.691
_cell_angle_alpha 90.00
_cell_angle_beta 119.79
_cell_angle_gamma 90.00
_symmetry_space_group_name_H-M 'P 1 m 1'
_symmetry_Int_Tables_number 6
_symmetry_space_group_name_Hall 'P -2y'
loop_
_atom_site_label
_atom_site_fract_x
_atom_site_fract_y
_atom_site_fract_z
_atom_site_occupancy
U1 0.000 0.000 0.000 1
U2 0.332 0.500 0.668 1
Mn1 0.044 0.500 0.282 1
Mn2 0.103 0.000 0.724 1
Mn3 0.232 0.500 0.956 1
Mn4 0.274 0.000 0.383 1
Mn5 0.435 0.000 0.206 1
Mn6 0.506 0.500 0.449 1
Mn7 0.551 0.500 0.062 1
Mn8 0.621 0.000 0.898 1
Mn9 0.720 0.500 0.766 1
Mn10 0.768 0.000 0.567 1
Mn11 0.795 0.000 0.234 1
Mn12 0.938 0.500 0.493 1
P1 0.078 0.000 0.463 1
P2 0.255 0.500 0.213 1
P3 0.380 0.000 0.921 1
P4 0.536 0.000 0.620 1
P5 0.665 0.500 0.334 1
P6 0.789 0.500 0.047 1
P7 0.954 0.500 0.743 1
# Energy of formation from the pure elements in eV per atom: -0.72

---

[8]
# UMn4P2 r2SCAN relaxed
data_UMn4P2
_cell_length_a 7.567
_cell_length_b 7.567
_cell_length_c 3.680
_cell_angle_alpha 90.00
_cell_angle_beta 90.00
_cell_angle_gamma 90.00
_symmetry_space_group_name_H-M 'P 42/m n m'
_symmetry_Int_Tables_number 136
_symmetry_space_group_name_Hall '-P 4n 2n'
loop_
_atom_site_label
_atom_site_fract_x
_atom_site_fract_y
_atom_site_fract_z
_atom_site_occupancy
U1 0.000 0.000 0.000 1
Mn1 0.078 0.334 0.500 1
P1 0.218 0.782 0.500 1
# Energy of formation from the pure elements in eV per atom: -0.72